Below is a relaxed Sm2Al2Fe15C crystal, with properties calculated at the GGA-PBE level.

Structure (POSCAR):
```
Sm2Al2Fe15C
1.0
-6.362 -1.025 -0.776
-0.977 -3.257 5.528
-2.047 5.023 3.527
Sm Al Fe C
2 2 15 1
Direct
0.654 0.654 0.640
0.346 0.346 0.360
0.896 0.896 0.897
0.104 0.104 0.103
0.344 0.344 0.852
0.342 0.850 0.344
0.850 0.342 0.344
0.656 0.656 0.148
0.658 0.150 0.656
0.150 0.658 0.656
0.000 0.000 0.500
0.000 0.500 0.000
0.500 0.000 0.000
0.285 0.715 0.000
0.716 0.001 0.284
0.999 0.284 0.716
0.284 0.999 0.716
0.001 0.716 0.284
0.715 0.285 0.000
0.500 0.500 0.000
```

Calculated values
Space-group type: C2/m (12)
Crystal system: monoclinic

=====

Below is a relaxed GdAl3C3 crystal, with properties calculated at the GGA-PBE level.

Structure (POSCAR):
```
GdAl3C3
1.0
-1.287 1.227 2.957
-2.093 -1.481 -2.309
2.617 -15.497 7.572
Gd Al C
2 6 6
Direct
0.000 0.000 0.500
0.000 0.000 0.000
0.333 0.667 0.366
0.667 0.333 0.634
0.667 0.333 0.866
0.333 0.667 0.134
0.333 0.667 0.750
0.667 0.333 0.250
0.333 0.667 0.905
0.667 0.333 0.095
0.667 0.333 0.405
0.333 0.667 0.595
0.333 0.667 0.250
0.667 0.333 0.750
```

Calculated values
Space-group type: P6_3/mmc (194)
Crystal system: hexagonal

=====

Below is a relaxed AlGe2PH24C8 crystal, with properties calculated at the GGA-PBE level.

Structure (POSCAR):
```
AlGe2PH24C8
1.0
-1.763 8.207 -4.304
0.819 0.003 -9.894
-9.405 -1.728 -3.077
Al Ge P H C
2 4 2 48 16
Direct
0.020 0.634 0.075
0.980 0.366 0.925
0.722 0.809 0.770
0.836 0.343 0.324
0.278 0.191 0.230
0.164 0.657 0.676
0.030 0.376 0.156
0.970 0.624 0.844
0.810 0.021 0.648
0.396 0.903 0.302
0.328 0.347 0.375
0.447 0.308 0.062
0.169 0.092 0.890
0.423 0.171 0.990
0.803 0.306 0.585
0.361 0.376 0.691
0.741 0.382 0.817
0.725 0.793 0.161
0.780 0.168 0.208
0.457 0.500 0.625
0.190 0.979 0.352
0.761 0.769 0.518
0.443 0.147 0.425
0.553 0.692 0.938
0.259 0.618 0.183
0.672 0.653 0.625
0.992 0.778 0.469
0.722 0.145 0.387
0.925 0.057 0.328
0.329 0.546 0.027
0.577 0.829 0.010
0.075 0.943 0.672
0.543 0.500 0.375
0.743 0.041 0.822
0.604 0.097 0.698
0.558 0.110 0.120
0.094 0.576 0.479
0.771 0.255 0.976
0.197 0.694 0.415
0.239 0.231 0.482
0.140 0.216 0.730
0.442 0.890 0.880
0.275 0.207 0.839
0.860 0.784 0.270
0.278 0.855 0.613
0.008 0.222 0.531
0.591 0.537 0.195
0.831 0.908 0.110
0.557 0.853 0.575
0.220 0.832 0.792
0.906 0.424 0.521
0.409 0.463 0.805
0.229 0.745 0.024
0.671 0.454 0.973
0.639 0.624 0.309
0.257 0.959 0.178
0.557 0.803 0.916
0.895 0.322 0.509
0.105 0.678 0.491
0.369 0.480 0.703
0.160 0.206 0.838
0.279 0.987 0.269
0.326 0.234 0.396
0.230 0.634 0.077
0.770 0.366 0.923
0.631 0.520 0.297
0.840 0.794 0.162
0.443 0.197 0.084
0.674 0.766 0.604
0.186 0.842 0.690
0.721 0.013 0.731
0.814 0.158 0.310
```

Calculated values
Space-group type: P-1 (2)
Crystal system: triclinic

=====

Below is a relaxed AlH36C12S6I3O6 crystal, with properties calculated at the GGA-PBE level.

Structure (POSCAR):
```
AlH36C12S6I3O6
1.0
-9.993 -2.132 -2.156
-3.980 -8.714 4.157
-6.871 1.181 7.775
Al H C S I O
1 36 12 6 3 6
Direct
0.000 0.000 0.000
0.031 0.666 0.828
0.828 0.031 0.666
0.666 0.828 0.031
0.969 0.334 0.172
0.172 0.969 0.334
0.334 0.172 0.969
0.226 0.555 0.769
0.769 0.226 0.555
0.555 0.769 0.226
0.774 0.445 0.231
0.231 0.774 0.445
0.445 0.231 0.774
0.127 0.529 0.969
0.969 0.127 0.529
0.529 0.969 0.127
0.002 0.657 0.453
0.873 0.471 0.031
0.471 0.031 0.873
0.343 0.547 0.998
0.998 0.343 0.547
0.547 0.998 0.343
0.657 0.453 0.002
0.297 0.115 0.577
0.115 0.577 0.297
0.577 0.297 0.115
0.703 0.885 0.423
0.885 0.423 0.703
0.423 0.703 0.885
0.422 0.202 0.556
0.202 0.556 0.422
0.556 0.422 0.202
0.578 0.798 0.444
0.798 0.444 0.578
0.444 0.578 0.798
0.453 0.002 0.657
0.031 0.873 0.471
0.370 0.632 0.887
0.887 0.370 0.632
0.632 0.887 0.370
0.630 0.368 0.113
0.390 0.146 0.862
0.146 0.862 0.390
0.862 0.390 0.146
0.610 0.854 0.138
0.368 0.113 0.630
0.138 0.610 0.854
0.113 0.630 0.368
0.854 0.138 0.610
0.248 0.160 0.801
0.752 0.840 0.199
0.801 0.248 0.160
0.160 0.801 0.248
0.840 0.199 0.752
0.199 0.752 0.840
0.249 0.249 0.249
0.500 0.500 0.500
0.751 0.751 0.751
0.087 0.801 0.983
0.983 0.087 0.801
0.199 0.017 0.913
0.913 0.199 0.017
0.017 0.913 0.199
0.801 0.983 0.087
```

Calculated values
Space-group type: R-3 (148)
Crystal system: trigonal

=====

Below is a relaxed LiAlH16C4N4 crystal, with properties calculated at the GGA-PBE level.

Structure (POSCAR):
```
LiAlH16C4N4
1.0
-7.169 7.169 4.760
7.169 -7.169 4.760
7.169 7.169 -4.760
Li Al H C N
4 4 64 16 16
Direct
0.758 0.410 0.328
0.083 0.430 0.672
0.680 0.508 0.848
0.660 0.833 0.152
0.717 0.566 0.169
0.397 0.548 0.831
0.798 0.467 0.651
0.816 0.147 0.349
0.643 0.299 0.057
0.242 0.585 0.943
0.835 0.393 0.843
0.549 0.992 0.157
0.474 0.537 0.088
0.449 0.386 0.912
0.636 0.224 0.437
0.787 0.199 0.563
0.848 0.770 0.071
0.699 0.777 0.929
0.027 0.598 0.578
0.020 0.449 0.422
0.814 0.673 0.408
0.265 0.406 0.592
0.656 0.564 0.641
0.923 0.015 0.359
0.344 0.155 0.968
0.187 0.376 0.032
0.626 0.094 0.689
0.405 0.937 0.311
0.373 0.234 0.133
0.101 0.240 0.867
0.490 0.123 0.640
0.484 0.851 0.360
0.384 0.083 0.083
0.000 0.301 0.917
0.551 0.134 0.801
0.333 0.750 0.199
0.606 0.633 0.375
0.259 0.232 0.625
0.482 0.356 0.473
0.883 0.009 0.527
0.403 0.442 0.262
0.180 0.141 0.738
0.391 0.153 0.460
0.692 0.930 0.540
0.459 0.636 0.294
0.343 0.165 0.706
0.415 0.209 0.323
0.886 0.093 0.677
0.038 0.774 0.001
0.773 0.037 0.999
0.287 0.788 0.764
0.024 0.523 0.236
0.969 0.602 0.046
0.557 0.923 0.954
0.173 0.719 0.867
0.852 0.307 0.133
0.090 0.804 0.170
0.634 0.920 0.830
0.170 0.840 0.786
0.054 0.384 0.214
0.087 0.915 0.390
0.525 0.698 0.610
0.948 0.837 0.672
0.165 0.275 0.328
0.107 0.769 0.360
0.409 0.747 0.640
0.997 0.857 0.838
0.019 0.159 0.162
0.097 0.835 0.510
0.325 0.587 0.490
0.837 0.847 0.762
0.085 0.075 0.238
0.420 0.197 0.072
0.125 0.348 0.928
0.598 0.170 0.723
0.447 0.875 0.277
0.506 0.576 0.279
0.297 0.227 0.721
0.477 0.256 0.430
0.826 0.047 0.570
0.988 0.715 0.070
0.645 0.918 0.930
0.168 0.738 0.774
0.965 0.395 0.226
0.045 0.800 0.403
0.397 0.641 0.597
0.891 0.795 0.745
0.050 0.147 0.255
0.602 0.336 0.115
0.221 0.487 0.885
0.737 0.352 0.766
0.586 0.971 0.234
0.574 0.602 0.175
0.427 0.399 0.825
0.649 0.324 0.472
0.852 0.177 0.528
0.828 0.665 0.058
0.606 0.769 0.942
0.019 0.578 0.663
0.915 0.356 0.337
0.861 0.655 0.345
0.310 0.516 0.655
0.766 0.611 0.706
0.905 0.060 0.294
```

Calculated values
Space-group type: I4_1 (80)
Crystal system: tetragonal

=====

Number 1: E_form -80 meV per atom, V 266.8 Å³/f.u.. Number 2: E_form -261 meV per atom, V 89.9 Å³/f.u.. Number 3: E_form -161 meV per atom, V 410.3 Å³/f.u.. Number 4: E_form -426 meV per atom, V 860.2 Å³/f.u.. Number 5: E_form -337 meV per atom, V 244.6 Å³/f.u..